{
  "formula": "Al2H18SO15",
  "functional": "PBE",
  "state": "optimized geometry",
  "dft_energy_ev_per_atom": -5.17,
  "formation_energy_ev_per_atom": -1.373,
  "m_tot_mub_per_fu": 2.00,
  "sg": "P2_1/c (14)",
  "lattice": [[7.562, 0.000, -3.014], [0.000, 16.882, 0.000], [-0.333, 0.000, 12.850]],
  "species": ["O", "H", "O", "O", "O", "O", "O", "H", "H", "H", "H", "S", "H", "O", "O", "O", "O", "H", "O", "Al", "Al", "H", "O", "H", "H", "O", "O", "H", "O", "S", "O", "O", "H", "H", "H", "H", "H", "O", "O", "O", "O", "H", "H", "H", "H", "H", "O", "H", "O", "O", "O", "H", "H", "O", "H", "O", "O", "O", "O", "H", "Al", "H", "H", "H", "O", "O", "H", "H", "H", "H", "O", "H", "O", "H", "O", "H", "O", "H", "O", "H", "H", "O", "H", "O", "O", "H", "O", "H", "H", "O", "H", "O", "O", "O", "H", "H", "H", "H", "H", "O", "O", "H", "Al", "H", "Al", "H", "O", "S", "H", "H", "S", "H", "Al", "O", "H", "H", "H", "O", "H", "H", "H", "H", "H", "H", "O", "O", "H", "H", "Al", "H", "O", "O", "O", "H", "O", "O", "O", "O", "H", "Al", "H", "H", "H", "O"],
  "frac_coords": [[0.153, 0.617, 0.924], [0.715, 0.247, 0.911], [0.794, 0.199, 0.409], [0.447, 0.618, 0.079], [0.235, 0.274, 0.594], [0.139, 0.948, 0.143], [0.061, 0.486, 0.819], [0.633, 0.290, 0.139], [0.522, 0.318, 0.407], [0.367, 0.710, 0.861], [0.551, 0.604, 0.822], [0.253, 0.619, 0.048], [0.219, 0.348, 0.364], [0.139, 0.552, 0.643], [0.624, 0.499, 0.450], [0.765, 0.726, 0.406], [0.765, 0.774, 0.906], [0.726, 0.845, 0.821], [0.919, 0.093, 0.095], [0.205, 0.903, 0.048], [0.795, 0.097, 0.952], [0.449, 0.396, 0.178], [0.376, 0.501, 0.550], [0.948, 0.198, 0.209], [0.285, 0.747, 0.589], [0.986, 0.700, 0.209], [0.701, 0.559, 0.503], [0.715, 0.253, 0.411], [0.624, 0.001, 0.950], [0.747, 0.119, 0.452], [0.299, 0.441, 0.497], [0.357, 0.676, 0.591], [0.018, 0.959, 0.649], [0.633, 0.210, 0.639], [0.285, 0.753, 0.089], [0.606, 0.891, 0.698], [0.189, 0.243, 0.848], [0.206, 0.801, 0.591], [0.081, 0.593, 0.405], [0.014, 0.300, 0.791], [0.362, 0.590, 0.337], [0.076, 0.797, 0.675], [0.982, 0.459, 0.851], [0.982, 0.041, 0.351], [0.274, 0.278, 0.123], [0.607, 0.252, 0.649], [0.861, 0.052, 0.857], [0.052, 0.698, 0.291], [0.643, 0.176, 0.909], [0.284, 0.106, 0.228], [0.808, 0.443, 0.893], [0.394, 0.391, 0.802], [0.478, 0.682, 0.593], [0.716, 0.606, 0.272], [0.316, 0.925, 0.757], [0.553, 0.118, 0.421], [0.192, 0.557, 0.107], [0.716, 0.894, 0.772], [0.206, 0.699, 0.091], [0.393, 0.752, 0.851], [0.095, 0.462, 0.691], [0.607, 0.248, 0.149], [0.478, 0.818, 0.093], [0.219, 0.152, 0.864], [0.794, 0.301, 0.909], [0.718, 0.798, 0.110], [0.630, 0.923, 0.349], [0.746, 0.093, 0.145], [0.684, 0.075, 0.243], [0.316, 0.575, 0.257], [0.638, 0.090, 0.163], [0.897, 0.039, 0.638], [0.718, 0.702, 0.610], [0.630, 0.577, 0.849], [0.192, 0.943, 0.607], [0.781, 0.848, 0.136], [0.376, 0.999, 0.050], [0.726, 0.778, 0.377], [0.282, 0.298, 0.390], [0.394, 0.109, 0.302], [0.274, 0.222, 0.623], [0.081, 0.907, 0.905], [0.103, 0.539, 0.862], [0.808, 0.057, 0.393], [0.701, 0.941, 0.003], [0.732, 0.719, 0.472], [0.847, 0.117, 0.576], [0.274, 0.345, 0.679], [0.370, 0.423, 0.151], [0.939, 0.986, 0.681], [0.522, 0.182, 0.907], [0.643, 0.324, 0.409], [0.357, 0.824, 0.091], [0.939, 0.514, 0.181], [0.370, 0.077, 0.651], [0.684, 0.425, 0.743], [0.746, 0.407, 0.645], [0.948, 0.302, 0.709], [0.781, 0.652, 0.636], [0.014, 0.200, 0.291], [0.986, 0.800, 0.709], [0.551, 0.896, 0.322], [0.795, 0.403, 0.452], [0.254, 0.593, 0.355], [0.905, 0.538, 0.309], [0.811, 0.743, 0.652], [0.299, 0.059, 0.997], [0.253, 0.881, 0.548], [0.018, 0.541, 0.149], [0.268, 0.281, 0.528], [0.747, 0.381, 0.952], [0.924, 0.203, 0.325], [0.205, 0.597, 0.548], [0.447, 0.882, 0.579], [0.268, 0.219, 0.028], [0.076, 0.703, 0.175], [0.726, 0.722, 0.877], [0.061, 0.014, 0.319], [0.254, 0.907, 0.855], [0.811, 0.757, 0.152], [0.103, 0.961, 0.362], [0.274, 0.155, 0.179], [0.732, 0.781, 0.972], [0.393, 0.748, 0.351], [0.362, 0.910, 0.837], [0.282, 0.202, 0.890], [0.189, 0.257, 0.348], [0.924, 0.297, 0.825], [0.095, 0.038, 0.191], [0.449, 0.104, 0.678], [0.847, 0.383, 0.076], [0.638, 0.410, 0.663], [0.553, 0.382, 0.921], [0.606, 0.609, 0.198], [0.153, 0.883, 0.424], [0.861, 0.448, 0.357], [0.919, 0.407, 0.595], [0.284, 0.394, 0.728], [0.367, 0.790, 0.361], [0.905, 0.962, 0.809], [0.726, 0.655, 0.321], [0.897, 0.461, 0.138], [0.052, 0.802, 0.791], [0.235, 0.226, 0.094]]
}